Entry 1:
Li7Co5O12 | r²SCAN | optimized geometry

energy relative to the elements = -1.7731 eV/atom

a b c (Å): 6.310 6.310 4.854
angles (deg): 97.37 97.37 83.38
Atoms (fractional coordinates):
1 Li 0.000 0.000 0.000
2 Li 0.082 0.411 0.248
3 Li 0.244 0.244 0.758
4 Li 0.411 0.082 0.248
5 Li 0.589 0.918 0.752
6 Li 0.756 0.756 0.242
7 Li 0.918 0.589 0.752
8 Co 0.164 0.836 0.500
9 Co 0.329 0.671 0.000
10 Co 0.500 0.500 0.500
11 Co 0.671 0.329 0.000
12 Co 0.836 0.164 0.500
13 O 0.066 0.708 0.142
14 O 0.114 0.114 0.393
15 O 0.223 0.558 0.631
16 O 0.292 0.934 0.858
17 O 0.392 0.392 0.129
18 O 0.442 0.777 0.369
19 O 0.558 0.223 0.631
20 O 0.608 0.608 0.871
21 O 0.708 0.066 0.142
22 O 0.777 0.442 0.369
23 O 0.886 0.886 0.607
24 O 0.934 0.292 0.858

=====

Entry 2:
Cs2As2Pd | r²SCAN | optimized geometry

energy relative to the elements = -0.6391 eV/atom

a b c (Å): 8.406 8.406 6.382
angles (deg): 90.00 90.00 130.13
Atoms (fractional coordinates):
1 Cs 0.086 0.914 0.750
2 Cs 0.292 0.708 0.250
3 Cs 0.708 0.292 0.750
4 Cs 0.914 0.086 0.250
5 As 0.230 0.431 0.750
6 As 0.431 0.230 0.250
7 As 0.569 0.770 0.750
8 As 0.770 0.569 0.250
9 Pd 0.500 0.500 0.000
10 Pd 0.500 0.500 0.500

=====

Entry 3:
RbCeS2 | r²SCAN | optimized geometry

energy relative to the elements = -2.1229 eV/atom

a b c (Å): 4.266 4.266 22.932
angles (deg): 90.00 90.00 120.00
Atoms (fractional coordinates):
1 Rb 0.000 0.000 0.000
2 Rb 0.333 0.667 0.667
3 Rb 0.667 0.333 0.333
4 Ce 0.000 0.000 0.500
5 Ce 0.333 0.667 0.167
6 Ce 0.667 0.333 0.833
7 S 0.000 0.000 0.233
8 S 0.000 0.000 0.767
9 S 0.333 0.667 0.434
10 S 0.333 0.667 0.899
11 S 0.667 0.333 0.101
12 S 0.667 0.333 0.566

=====

Entry 4:
Tb11In9Pd4 | r²SCAN | optimized geometry

energy relative to the elements = -0.7978 eV/atom

a b c (Å): 13.204 13.204 3.680
angles (deg): 90.00 90.00 112.82
Atoms (fractional coordinates):
1 Tb 0.000 0.000 0.000
2 Tb 0.072 0.414 0.000
3 Tb 0.160 0.840 0.000
4 Tb 0.309 0.309 0.000
5 Tb 0.372 0.628 0.000
6 Tb 0.414 0.072 0.000
7 Tb 0.586 0.928 0.000
8 Tb 0.628 0.372 0.000
9 Tb 0.691 0.691 0.000
10 Tb 0.840 0.160 0.000
11 Tb 0.928 0.586 0.000
12 In 0.074 0.216 0.500
13 In 0.158 0.633 0.500
14 In 0.216 0.074 0.500
15 In 0.367 0.842 0.500
16 In 0.500 0.500 0.500
17 In 0.633 0.158 0.500
18 In 0.784 0.926 0.500
19 In 0.842 0.367 0.500
20 In 0.926 0.784 0.500
21 Pd 0.246 0.449 0.500
22 Pd 0.449 0.246 0.500
23 Pd 0.551 0.754 0.500
24 Pd 0.754 0.551 0.500

=====

Entry 5:
TbFeO3 | r²SCAN | optimized geometry

energy relative to the elements = -2.7940 eV/atom

a b c (Å): 5.627 7.637 5.302
angles (deg): 90.00 90.00 90.00
Atoms (fractional coordinates):
1 Tb 0.070 0.250 0.018
2 Tb 0.430 0.750 0.518
3 Tb 0.570 0.250 0.482
4 Tb 0.930 0.750 0.982
5 Fe 0.000 0.000 0.500
6 Fe 0.000 0.500 0.500
7 Fe 0.500 0.000 0.000
8 Fe 0.500 0.500 0.000
9 O 0.039 0.750 0.388
10 O 0.194 0.557 0.809
11 O 0.194 0.943 0.809
12 O 0.306 0.057 0.309
13 O 0.306 0.443 0.309
14 O 0.461 0.250 0.888
15 O 0.539 0.750 0.112
16 O 0.694 0.557 0.691
17 O 0.694 0.943 0.691
18 O 0.806 0.057 0.191
19 O 0.806 0.443 0.191
20 O 0.961 0.250 0.612

=====

Entry 6:
Y4MgPt | r²SCAN | optimized geometry

energy relative to the elements = -0.5562 eV/atom

a b c (Å): 9.800 9.800 9.800
angles (deg): 60.00 60.00 60.00
Atoms (fractional coordinates):
1 Y 0.186 0.186 0.814
2 Y 0.186 0.814 0.186
3 Y 0.186 0.814 0.814
4 Y 0.401 0.401 0.401
5 Y 0.401 0.401 0.796
6 Y 0.401 0.796 0.401
7 Y 0.561 0.561 0.939
8 Y 0.561 0.939 0.561
9 Y 0.561 0.939 0.939
10 Y 0.796 0.401 0.401
11 Y 0.814 0.186 0.186
12 Y 0.814 0.186 0.814
13 Y 0.814 0.814 0.186
14 Y 0.939 0.561 0.561
15 Y 0.939 0.561 0.939
16 Y 0.939 0.939 0.561
17 Mg 0.171 0.171 0.171
18 Mg 0.171 0.171 0.488
19 Mg 0.171 0.488 0.171
20 Mg 0.488 0.171 0.171
21 Pt 0.177 0.608 0.608
22 Pt 0.608 0.177 0.608
23 Pt 0.608 0.608 0.177
24 Pt 0.608 0.608 0.608

=====

Entry 7:
Sr3Co2O6 | r²SCAN | optimized geometry

energy relative to the elements = -2.2858 eV/atom

a b c (Å): 6.516 6.522 6.580
angles (deg): 93.53 93.57 93.91
Atoms (fractional coordinates):
1 Sr 0.119 0.246 0.382
2 Sr 0.247 0.118 0.883
3 Sr 0.378 0.622 0.751
4 Sr 0.622 0.378 0.249
5 Sr 0.753 0.882 0.117
6 Sr 0.881 0.754 0.618
7 Co 0.000 0.500 0.000
8 Co 0.256 0.743 0.251
9 Co 0.500 0.000 0.500
10 Co 0.744 0.257 0.749
11 O 0.027 0.404 0.720
12 O 0.089 0.780 0.962
13 O 0.219 0.911 0.539
14 O 0.283 0.469 0.091
15 O 0.404 0.028 0.220
16 O 0.471 0.283 0.592
17 O 0.529 0.717 0.408
18 O 0.596 0.972 0.780
19 O 0.717 0.531 0.909
20 O 0.781 0.089 0.461
21 O 0.911 0.220 0.038
22 O 0.973 0.596 0.280

=====

Entry 8:
La3CI5 | r²SCAN | optimized geometry

energy relative to the elements = -1.5538 eV/atom

a b c (Å): 8.089 9.798 9.892
angles (deg): 107.36 97.40 105.13
Atoms (fractional coordinates):
1 La 0.029 0.229 0.422
2 La 0.107 0.541 0.273
3 La 0.378 0.639 0.685
4 La 0.622 0.361 0.315
5 La 0.893 0.459 0.727
6 La 0.971 0.771 0.578
7 C 0.087 0.531 0.542
8 C 0.913 0.469 0.458
9 I 0.090 0.873 0.317
10 I 0.185 0.229 0.139
11 I 0.260 0.588 0.968
12 I 0.352 0.967 0.778
13 I 0.455 0.308 0.592
14 I 0.545 0.692 0.408
15 I 0.648 0.033 0.222
16 I 0.740 0.412 0.032
17 I 0.815 0.771 0.861
18 I 0.910 0.127 0.683

=====

Entry 9:
LaAlNi4 | r²SCAN | optimized geometry

energy relative to the elements = -0.4226 eV/atom

a b c (Å): 5.151 8.449 4.026
angles (deg): 90.00 90.00 90.00
Atoms (fractional coordinates):
1 La 0.000 0.000 0.000
2 La 0.500 0.500 0.000
3 Al 0.000 0.500 0.500
4 Al 0.500 0.000 0.500
5 Ni 0.000 0.331 0.000
6 Ni 0.000 0.669 0.000
7 Ni 0.250 0.250 0.500
8 Ni 0.250 0.750 0.500
9 Ni 0.500 0.169 0.000
10 Ni 0.500 0.831 0.000
11 Ni 0.750 0.250 0.500
12 Ni 0.750 0.750 0.500

=====

Entry 10:
YbNdPd2 | r²SCAN | optimized geometry

energy relative to the elements = -0.8619 eV/atom

a b c (Å): 7.046 7.046 7.046
angles (deg): 90.00 90.00 90.00
Atoms (fractional coordinates):
1 Yb 0.000 0.000 0.000
2 Yb 0.000 0.500 0.500
3 Yb 0.500 0.000 0.500
4 Yb 0.500 0.500 0.000
5 Nd 0.000 0.000 0.500
6 Nd 0.000 0.500 0.000
7 Nd 0.500 0.000 0.000
8 Nd 0.500 0.500 0.500
9 Pd 0.250 0.250 0.250
10 Pd 0.250 0.250 0.750
11 Pd 0.250 0.750 0.250
12 Pd 0.250 0.750 0.750
13 Pd 0.750 0.250 0.250
14 Pd 0.750 0.250 0.750
15 Pd 0.750 0.750 0.250
16 Pd 0.750 0.750 0.750

=====

Entry 11:
LiGaI3 | r²SCAN | optimized geometry

energy relative to the elements = -0.9012 eV/atom

a b c (Å): 7.205 11.469 8.492
angles (deg): 90.00 92.10 90.00
Atoms (fractional coordinates):
1 Li 0.000 0.000 0.000
2 Li 0.000 0.500 0.000
3 Li 0.500 0.000 0.500
4 Li 0.500 0.500 0.500
5 Ga 0.032 0.250 0.531
6 Ga 0.132 0.250 0.260
7 Ga 0.868 0.750 0.740
8 Ga 0.968 0.750 0.469
9 I 0.139 0.750 0.953
10 I 0.177 0.071 0.686
11 I 0.177 0.429 0.686
12 I 0.327 0.750 0.435
13 I 0.335 0.070 0.184
14 I 0.335 0.430 0.184
15 I 0.665 0.570 0.816
16 I 0.665 0.930 0.816
17 I 0.673 0.250 0.565
18 I 0.823 0.571 0.314
19 I 0.823 0.929 0.314
20 I 0.861 0.250 0.047

=====

Entry 12:
Ba4Ir3O10 | r²SCAN | optimized geometry

energy relative to the elements = -1.9181 eV/atom

a b c (Å): 7.285 7.285 13.319
angles (deg): 90.00 90.00 133.05
Atoms (fractional coordinates):
1 Ba 0.039 0.961 0.861
2 Ba 0.243 0.757 0.620
3 Ba 0.257 0.743 0.120
4 Ba 0.461 0.539 0.361
5 Ba 0.539 0.461 0.639
6 Ba 0.743 0.257 0.880
7 Ba 0.757 0.243 0.380
8 Ba 0.961 0.039 0.139
9 Ir 0.000 0.000 0.500
10 Ir 0.121 0.879 0.351
11 Ir 0.379 0.621 0.851
12 Ir 0.500 0.500 0.000
13 Ir 0.621 0.379 0.149
14 Ir 0.879 0.121 0.649
15 O 0.039 0.961 0.648
16 O 0.117 0.342 0.533
17 O 0.144 0.356 0.750
18 O 0.158 0.383 0.967
19 O 0.232 0.768 0.838
20 O 0.268 0.732 0.338
21 O 0.342 0.117 0.467
22 O 0.356 0.144 0.250
23 O 0.383 0.158 0.033
24 O 0.461 0.539 0.148
25 O 0.539 0.461 0.852
26 O 0.617 0.842 0.967
27 O 0.644 0.856 0.750
28 O 0.658 0.883 0.533
29 O 0.732 0.268 0.662
30 O 0.768 0.232 0.162
31 O 0.842 0.617 0.033
32 O 0.856 0.644 0.250
33 O 0.883 0.658 0.467
34 O 0.961 0.039 0.352

=====

Entry 13:
Pm3Al | r²SCAN | optimized geometry

energy relative to the elements = -0.2065 eV/atom

a b c (Å): 4.857 4.857 4.857
angles (deg): 90.00 90.00 90.00
Atoms (fractional coordinates):
1 Pm 0.000 0.000 0.500
2 Pm 0.000 0.500 0.000
3 Pm 0.500 0.000 0.000
4 Al 0.500 0.500 0.500

=====

Entry 14:
BeH4N2 | r²SCAN | optimized geometry

energy relative to the elements = -0.6360 eV/atom

a b c (Å): 10.799 10.799 10.799
angles (deg): 123.58 123.58 83.91
Atoms (fractional coordinates):
1 Be 0.063 0.258 0.943
2 Be 0.120 0.063 0.306
3 Be 0.185 0.880 0.443
4 Be 0.242 0.437 0.557
5 Be 0.258 0.815 0.194
6 Be 0.315 0.758 0.694
7 Be 0.380 0.685 0.943
8 Be 0.437 0.380 0.194
9 Be 0.563 0.620 0.806
10 Be 0.620 0.315 0.057
11 Be 0.685 0.242 0.306
12 Be 0.742 0.185 0.806
13 Be 0.758 0.563 0.443
14 Be 0.815 0.120 0.557
15 Be 0.880 0.937 0.694
16 Be 0.937 0.742 0.057
17 H 0.002 0.645 0.224
18 H 0.009 0.258 0.346
19 H 0.042 0.665 0.895
20 H 0.079 0.222 0.724
21 H 0.081 0.581 0.491
22 H 0.081 0.581 0.991
23 H 0.088 0.242 0.252
24 H 0.090 0.081 0.000
25 H 0.090 0.090 0.509
26 H 0.145 0.502 0.724
27 H 0.148 0.042 0.877
28 H 0.163 0.912 0.654
29 H 0.165 0.542 0.395
30 H 0.222 0.998 0.143
31 H 0.230 0.835 0.877
32 H 0.242 0.491 0.154
33 H 0.258 0.412 0.248
34 H 0.270 0.148 0.605
35 H 0.278 0.421 0.776
36 H 0.335 0.730 0.377
37 H 0.337 0.991 0.748
38 H 0.352 0.230 0.895
39 H 0.355 0.079 0.357
40 H 0.410 0.410 0.991
41 H 0.410 0.919 0.000
42 H 0.412 0.663 0.154
43 H 0.419 0.410 0.500
44 H 0.419 0.910 0.500
45 H 0.421 0.145 0.143
46 H 0.458 0.352 0.623
47 H 0.491 0.837 0.248
48 H 0.498 0.722 0.643
49 H 0.502 0.278 0.357
50 H 0.509 0.163 0.752
51 H 0.542 0.648 0.377
52 H 0.579 0.855 0.857
53 H 0.581 0.090 0.500
54 H 0.581 0.590 0.500
55 H 0.588 0.337 0.846
56 H 0.590 0.081 0.000
57 H 0.590 0.590 0.009
58 H 0.645 0.921 0.643
59 H 0.648 0.770 0.105
60 H 0.663 0.009 0.252
61 H 0.665 0.270 0.623
62 H 0.722 0.579 0.224
63 H 0.730 0.852 0.395
64 H 0.742 0.588 0.752
65 H 0.758 0.509 0.846
66 H 0.770 0.165 0.123
67 H 0.778 0.002 0.857
68 H 0.835 0.458 0.605
69 H 0.837 0.088 0.346
70 H 0.852 0.958 0.123
71 H 0.855 0.498 0.276
72 H 0.910 0.910 0.491
73 H 0.910 0.919 0.000
74 H 0.912 0.758 0.748
75 H 0.919 0.419 0.009
76 H 0.919 0.419 0.509
77 H 0.921 0.778 0.276
78 H 0.958 0.335 0.105
79 H 0.991 0.742 0.654
80 H 0.998 0.355 0.776
81 N 0.001 0.751 0.250
82 N 0.060 0.074 0.888
83 N 0.074 0.686 0.014
84 N 0.111 0.250 0.361
85 N 0.172 0.060 0.486
86 N 0.186 0.574 0.514
87 N 0.249 0.999 0.250
88 N 0.250 0.389 0.139
89 N 0.250 0.889 0.639
90 N 0.251 0.501 0.750
91 N 0.314 0.828 0.388
92 N 0.328 0.814 0.888
93 N 0.389 0.750 0.139
94 N 0.426 0.440 0.612
95 N 0.440 0.328 0.014
96 N 0.499 0.749 0.750
97 N 0.501 0.251 0.250
98 N 0.560 0.672 0.986
99 N 0.574 0.560 0.388
100 N 0.611 0.250 0.861
101 N 0.672 0.186 0.112
102 N 0.686 0.172 0.612
103 N 0.749 0.499 0.250
104 N 0.750 0.111 0.361
105 N 0.750 0.611 0.861
106 N 0.751 0.001 0.750
107 N 0.814 0.426 0.486
108 N 0.828 0.940 0.514
109 N 0.889 0.750 0.639
110 N 0.926 0.314 0.986
111 N 0.940 0.926 0.112
112 N 0.999 0.249 0.750

=====

no.,calculated total energy (eV/f.u.)
1,-197.1
2,-105.8
3,-69.3
4,-657.7
5,-77.5
6,-140.2
7,-132.9
8,-236.0
9,-86.9
10,-115.3
11,-92.0
12,-355.4
13,-96.2
14,-40.9